Record 1
A relaxed structure of CaMn4O8, computed with PBE with a Hubbard U.

```
13
Lattice="2.995 1.729 5.631 -2.995 1.729 5.631 0.000 -3.459 5.631" Properties=species:S:1:pos:R:3 pbc="T T T"
Ca 0.000 0.000 0.000
Mn -2.995 0.000 8.446
Mn -1.498 0.865 2.815
Mn 1.498 0.865 2.815
Mn 0.000 0.000 8.446
O -1.626 -0.939 9.468
O 0.000 0.000 3.801
O 0.000 -1.878 7.424
O -1.626 0.939 7.424
O 1.626 -0.939 9.468
O 0.000 1.878 9.468
O 0.000 0.000 13.091
O 1.626 0.939 7.424
```

Values from the calculation:
V ... 13.5 Å³ per atom
Calculated total energy ... -7.22 eV per atom
Formation energy ... -2.14 eV per atom



Record 2
A relaxed structure of CaMn2O4, computed with PBE with a Hubbard U.

```
28
Lattice="6.273 0.000 0.000 3.085 5.559 0.000 0.183 3.343 10.169" Properties=species:S:1:pos:R:3 pbc="T T T"
Ca 0.000 0.000 0.000
Ca 3.241 7.083 7.022
Ca 3.212 1.745 5.041
Ca 6.267 5.328 1.929
Mn 1.646 4.339 7.000
Mn 1.582 2.535 1.906
Mn 3.191 5.114 3.889
Mn 3.335 5.123 9.556
Mn 4.846 4.325 7.032
Mn 4.738 2.540 1.914
Mn 6.454 6.837 8.983
Mn 6.326 3.397 4.460
O 1.871 5.776 8.340
O 1.459 2.877 5.732
O 3.133 3.365 0.416
O 1.831 1.056 0.585
O 3.247 5.003 6.016
O 3.155 1.862 2.844
O 4.710 5.836 8.306
O 3.488 3.453 8.333
O 4.884 4.018 3.225
O 4.490 1.110 0.591
O 6.110 5.244 5.937
O 4.987 2.824 5.812
O 6.296 3.270 0.883
O 6.377 3.614 7.986
O 7.719 4.063 3.205
O 6.308 1.474 3.182
```

Values from the calculation:
V ... 12.7 Å³ per atom
Calculated total energy ... -7.22 eV per atom
Formation energy ... -2.36 eV per atom



Record 3
A relaxed structure of CaMn2O4, computed with PBE with a Hubbard U.

```
42
Lattice="5.839 -3.000 0.000 5.839 3.000 0.000 -1.973 0.000 15.423" Properties=species:S:1:pos:R:3 pbc="T T T"
Ca 0.000 0.000 0.000
Ca -0.727 0.000 5.788
Ca 1.932 0.000 14.701
Ca 2.455 0.000 11.021
Ca 7.169 0.000 4.364
Ca 10.401 0.000 9.566
Mn 4.509 1.489 2.591
Mn 1.672 0.000 2.661
Mn 5.072 1.489 12.845
Mn 3.255 0.000 5.190
Mn 7.758 1.497 7.702
Mn 4.853 0.000 7.697
Mn 6.397 0.000 10.241
Mn 4.509 -1.489 2.591
Mn 7.700 0.000 0.746
Mn 5.072 -1.489 12.845
Mn 8.050 0.000 12.711
Mn 7.758 -1.497 7.702
O -1.476 0.000 11.745
O 2.590 1.270 3.864
O -0.151 0.000 13.936
O 3.078 1.616 13.730
O 1.376 0.000 6.535
O 3.940 1.285 6.539
O 2.654 0.000 8.779
O 6.694 1.568 1.587
O 3.790 0.000 1.531
O 5.751 1.277 8.887
O 5.030 0.000 3.787
O 2.590 -1.270 3.864
O 7.018 1.276 11.609
O 4.597 0.000 11.656
O 3.940 -1.285 6.539
O 5.783 0.000 14.030
O 7.015 0.000 6.632
O 3.078 -1.616 13.730
O 5.751 -1.277 8.887
O 8.285 0.000 8.889
O 9.703 0.000 1.408
O 6.694 -1.568 1.587
O 7.018 -1.276 11.609
O 11.121 0.000 3.587
```

Values from the calculation:
V ... 12.9 Å³ per atom
Calculated total energy ... -7.25 eV per atom
Formation energy ... -2.38 eV per atom



Record 4
A relaxed structure of CaMn7O12, computed with PBE with a Hubbard U.

```
40
Lattice="5.339 -3.736 0.000 5.339 3.736 0.000 -0.143 0.000 10.584" Properties=species:S:1:pos:R:3 pbc="T T T"
Ca 0.000 0.000 0.000
Ca 5.267 0.000 5.292
Mn -0.072 0.000 5.292
Mn 2.669 1.868 0.000
Mn 2.598 1.868 5.292
Mn 5.223 1.867 7.933
Mn 2.557 0.000 7.937
Mn 5.312 1.867 2.651
Mn 2.656 0.000 2.628
Mn 2.669 -1.868 0.000
Mn 2.598 -1.868 5.292
Mn 5.339 0.000 0.000
Mn 7.878 0.000 7.956
Mn 5.223 -1.867 7.933
Mn 7.977 0.000 2.647
Mn 5.312 -1.867 2.651
O 3.519 2.404 8.982
O 0.586 0.000 7.987
O 4.313 2.299 6.218
O 3.598 1.332 3.686
O 4.403 1.436 0.961
O 2.488 0.000 9.888
O 2.639 0.000 5.992
O 6.221 2.299 4.366
O 7.015 2.404 1.602
O 6.131 1.436 9.623
O 4.525 0.000 7.863
O 6.936 1.332 6.898
O 3.598 -1.332 3.686
O 6.009 0.000 2.721
O 4.403 -1.436 0.961
O 3.519 -2.404 8.982
O 4.313 -2.299 6.218
O 7.895 0.000 4.592
O 8.046 0.000 0.696
O 6.131 -1.436 9.623
O 6.936 -1.332 6.898
O 6.221 -2.299 4.366
O 9.948 0.000 2.597
O 7.015 -2.404 1.602
```

Values from the calculation:
V ... 10.6 Å³ per atom
Calculated total energy ... -7.41 eV per atom
Formation energy ... -2.13 eV per atom



Record 5
A relaxed structure of Ca4Mn3O10, computed with PBE with a Hubbard U.

```
68
Lattice="5.340 0.000 0.000 0.000 5.391 0.000 0.000 0.000 27.053" Properties=species:S:1:pos:R:3 pbc="T T T"
Ca 0.034 0.220 5.538
Ca 0.034 2.476 19.064
Ca 0.036 2.925 15.406
Ca 0.036 5.162 1.879
Ca 2.634 0.230 15.406
Ca 2.634 2.466 1.879
Ca 2.636 2.916 5.538
Ca 2.636 5.171 19.064
Ca 2.704 0.220 7.989
Ca 2.704 2.476 21.516
Ca 2.706 2.925 25.174
Ca 2.706 5.162 11.648
Ca 5.304 0.230 25.174
Ca 5.304 2.466 11.648
Ca 5.306 2.916 7.989
Ca 5.306 5.171 21.516
Mn 0.000 0.000 13.527
Mn 0.001 0.010 9.717
Mn 0.001 2.685 23.244
Mn 0.000 2.696 0.000
Mn 5.339 2.706 3.809
Mn 5.339 5.381 17.336
Mn 2.670 0.000 0.000
Mn 2.671 0.010 3.809
Mn 2.671 2.685 17.336
Mn 2.670 2.696 13.527
Mn 2.669 2.706 9.717
Mn 2.669 5.381 23.244
O 0.284 0.044 19.240
O 0.284 2.651 5.713
O 0.403 0.104 11.633
O 0.403 2.591 25.160
O 1.100 1.119 0.304
O 1.100 1.577 13.831
O 1.106 1.130 3.523
O 1.106 1.566 17.050
O 1.115 1.122 22.975
O 1.115 1.574 9.449
O 1.555 3.818 22.975
O 1.555 4.269 9.449
O 1.564 3.826 3.523
O 1.564 4.261 17.050
O 1.570 3.815 0.304
O 1.570 4.272 13.831
O 2.267 2.800 11.633
O 2.267 5.287 25.160
O 2.386 2.740 19.240
O 2.386 5.347 5.713
O 2.954 0.044 21.340
O 2.954 2.651 7.813
O 3.073 0.104 1.894
O 3.073 2.591 15.420
O 3.770 1.119 13.222
O 3.770 1.577 26.749
O 3.776 1.130 10.003
O 3.776 1.566 23.530
O 3.785 1.122 17.605
O 3.785 1.574 4.078
O 4.225 3.818 17.605
O 4.225 4.269 4.078
O 4.234 3.826 10.003
O 4.234 4.261 23.530
O 4.240 3.815 13.222
O 4.240 4.272 26.749
O 4.937 2.800 1.894
O 4.937 5.287 15.420
O 5.056 2.740 21.340
O 5.056 5.347 7.813
```

Values from the calculation:
V ... 11.5 Å³ per atom
Calculated total energy ... -6.91 eV per atom
Formation energy ... -2.60 eV per atom



Record 6
A relaxed structure of CaMn3O4, computed with PBE with a Hubbard U.

```
8
Lattice="3.275 0.000 0.000 0.000 3.275 0.000 0.000 0.000 9.102" Properties=species:S:1:pos:R:3 pbc="T T T"
Ca 0.000 0.000 0.000
Mn 0.000 0.000 4.551
Mn 1.637 1.637 2.346
Mn 1.637 1.637 6.756
O 0.000 0.000 2.365
O 0.000 0.000 6.737
O 1.637 1.637 0.000
O 1.637 1.637 4.551
```

Values from the calculation:
V ... 12.2 Å³ per atom
Calculated total energy ... -7.46 eV per atom
Formation energy ... -2.27 eV per atom



Record 7
A relaxed structure of Ca2MnO4, computed with PBE with a Hubbard U.

```
28
Lattice="-2.626 2.626 12.203 2.626 -2.626 12.203 2.626 2.626 -12.203" Properties=species:S:1:pos:R:3 pbc="T T T"
Ca 2.626 1.313 -4.869
Ca 2.626 1.313 -1.232
Ca 0.000 1.313 1.232
Ca 0.000 1.313 4.869
Ca 2.626 1.313 7.334
Ca 2.626 1.313 10.971
Ca 0.000 1.313 13.435
Ca 0.000 1.313 17.073
Mn 2.626 -1.313 9.152
Mn 2.626 1.313 3.051
Mn 0.000 1.313 9.152
Mn 0.000 3.938 3.051
O 2.626 -1.313 7.180
O 3.687 -0.252 3.051
O 1.061 0.252 3.051
O 2.626 -1.313 11.124
O 2.626 1.313 1.079
O 1.061 -0.252 9.152
O 1.061 2.877 -3.051
O 2.626 1.313 5.023
O 0.000 1.313 7.180
O 1.565 -0.252 15.254
O 1.565 2.877 3.051
O 0.000 1.313 11.124
O 0.000 3.938 1.079
O 1.565 2.374 9.152
O -1.061 2.877 9.152
O 0.000 3.938 5.023
```

Values from the calculation:
V ... 12.0 Å³ per atom
Calculated total energy ... -6.83 eV per atom
Formation energy ... -2.75 eV per atom



Record 8
A relaxed structure of CaMn2O4, computed with PBE with a Hubbard U.

```
56
Lattice="5.539 -3.127 0.000 5.539 3.127 0.000 -4.173 0.000 20.460" Properties=species:S:1:pos:R:3 pbc="T T T"
Ca 0.000 0.000 0.000
Ca -2.207 0.000 17.945
Ca -0.355 0.000 15.326
Ca 1.550 0.000 7.150
Ca 1.511 0.000 12.741
Ca 3.472 0.000 10.194
Ca 5.399 0.000 1.895
Ca 7.291 0.000 5.111
Mn -2.267 0.000 12.109
Mn 1.925 0.000 3.143
Mn 2.415 1.562 15.342
Mn 4.512 1.547 5.120
Mn 1.550 0.000 18.565
Mn 6.206 1.535 10.217
Mn 8.321 1.527 0.034
Mn 5.356 0.000 7.614
Mn 5.320 0.000 13.520
Mn 4.512 -1.547 5.120
Mn 2.415 -1.562 15.342
Mn 5.061 0.000 17.144
Mn 9.223 0.000 2.561
Mn 9.166 0.000 8.264
Mn 6.206 -1.535 10.217
Mn 8.321 -1.527 0.034
O -2.377 0.000 14.215
O -0.120 0.000 3.697
O 2.988 1.703 3.798
O 0.845 1.563 14.220
O 4.261 1.779 1.307
O 2.288 1.609 11.290
O -0.392 0.000 11.370
O 2.051 0.000 1.100
O 1.368 0.000 9.321
O -0.426 0.000 19.499
O 2.558 1.537 19.423
O 4.710 1.409 8.851
O 3.997 1.569 16.467
O 6.003 1.363 6.380
O 1.653 0.000 16.471
O 3.728 0.000 6.541
O 5.213 0.000 4.126
O 3.267 0.000 14.250
O 0.845 -1.563 14.220
O 2.988 -1.703 3.798
O 2.288 -1.609 11.290
O 4.261 -1.779 1.307
O 5.480 0.000 11.283
O 7.628 0.000 1.253
O 7.034 0.000 8.700
O 4.911 0.000 19.320
O 4.710 -1.409 8.851
O 2.558 -1.537 19.423
O 6.003 -1.363 6.380
O 3.997 -1.569 16.467
O 7.112 0.000 16.443
O 9.355 0.000 6.138
```

Values from the calculation:
V ... 12.7 Å³ per atom
Calculated total energy ... -7.19 eV per atom
Formation energy ... -2.33 eV per atom